1.
## Na2SnO2 (PBE)

Data for crystalline Na2SnO2 at its relaxed geometry.

## Properties
Calculated volume = 344 Å³/cell
Excess energy over the best structure of this formula in the dataset = 39 meV per atom
VASP energy = -4.72 eV/atom
Largest piezoelectric modulus = 0.24 C/m2
Formation energy from the elements = -1.689 eV per atom
Energy with MP2020 corrections = -100.0 eV/cell

Lattice parameters (Å, degrees): 5.266 6.697 9.761 90.00 90.00 90.00
Element x y z (fractional)
Na 0.007 0.620 0.427
Na 0.009 0.137 0.754
Na 0.491 0.863 0.254
Na 0.493 0.380 0.927
Na 0.507 0.880 0.573
Na 0.509 0.363 0.246
Na 0.991 0.637 0.746
Na 0.993 0.120 0.073
Sn 0.004 0.098 0.428
Sn 0.496 0.902 0.928
Sn 0.504 0.402 0.572
Sn 0.996 0.598 0.072
O 0.018 0.891 0.581
O 0.110 0.339 0.556
O 0.390 0.661 0.056
O 0.482 0.109 0.081
O 0.518 0.609 0.419
O 0.610 0.161 0.444
O 0.890 0.839 0.944
O 0.982 0.391 0.919

2.
## Na2Sn2O3 (PBE)

Data for crystalline Na2Sn2O3 at its relaxed geometry.

## Properties
Calculated volume = 243 Å³/cell
VASP energy = -5.04 eV/atom
Largest piezoelectric modulus = 0.08 C/m2
Formation energy from the elements = -1.693 eV per atom
Energy with MP2020 corrections = -74.7 eV/cell

Lattice parameters (Å, degrees): 6.807 6.807 6.807 109.47 109.47 109.47
Element x y z (fractional)
Na 0.500 0.000 0.450
Na 0.050 0.050 0.050
Na 0.450 0.500 0.000
Na 0.000 0.450 0.500
Sn 0.971 0.500 0.000
Sn 0.500 0.000 0.971
Sn 0.529 0.529 0.529
Sn 0.000 0.971 0.500
O 0.547 0.297 0.250
O 0.953 0.203 0.750
O 0.750 0.953 0.203
O 0.297 0.250 0.547
O 0.250 0.547 0.297
O 0.203 0.750 0.953

3.
## Na2SnO3 (PBE)

Data for crystalline Na2SnO3 at its relaxed geometry.

## Properties
Calculated volume = 302 Å³/cell
VASP energy = -5.31 eV/atom
Formation energy from the elements = -2.073 eV per atom
Energy with MP2020 corrections = -135.7 eV/cell

Lattice parameters (Å, degrees): 5.616 5.616 11.208 85.25 85.25 120.01
Element x y z (fractional)
Na 0.682 0.843 0.501
Na 0.500 0.000 0.000
Na 0.084 0.916 0.250
Na 0.000 0.500 0.500
Na 0.843 0.682 0.001
Na 0.157 0.318 0.999
Na 0.916 0.084 0.750
Na 0.318 0.157 0.499
Sn 0.418 0.582 0.250
Sn 0.250 0.750 0.750
Sn 0.750 0.250 0.250
Sn 0.582 0.418 0.750
O 0.751 0.951 0.143
O 0.419 0.881 0.356
O 0.119 0.581 0.144
O 0.512 0.680 0.856
O 0.951 0.751 0.643
O 0.320 0.488 0.644
O 0.680 0.512 0.356
O 0.049 0.249 0.357
O 0.488 0.320 0.144
O 0.881 0.419 0.856
O 0.581 0.119 0.644
O 0.249 0.049 0.857

4.
## Na8SnO6 (PBE)

Data for crystalline Na8SnO6 at its relaxed geometry.

## Properties
Calculated volume = 469 Å³/cell
Excess energy over the best structure of this formula in the dataset = 0 meV per atom
VASP energy = -4.37 eV/atom
Largest piezoelectric modulus = 0.20 C/m2
Formation energy from the elements = -1.691 eV per atom
Energy with MP2020 corrections = -139.3 eV/cell

Lattice parameters (Å, degrees): 6.489 6.489 12.870 90.00 90.00 120.00
Element x y z (fractional)
Na 0.000 0.698 0.769
Na 0.000 0.602 0.125
Na 0.000 0.398 0.625
Na 0.000 0.302 0.269
Na 0.333 0.667 0.410
Na 0.333 0.667 0.910
Na 0.302 0.302 0.769
Na 0.398 0.398 0.125
Na 0.602 0.602 0.625
Na 0.302 0.000 0.269
Na 0.698 0.698 0.269
Na 0.398 0.000 0.625
Na 0.667 0.333 0.910
Na 0.667 0.333 0.410
Na 0.602 0.000 0.125
Na 0.698 0.000 0.769
Sn 0.000 0.000 0.996
Sn 0.000 0.000 0.496
O 0.000 0.707 0.951
O 0.000 0.293 0.451
O 0.333 0.667 0.220
O 0.000 0.000 0.154
O 0.000 0.000 0.654
O 0.333 0.667 0.720
O 0.293 0.293 0.951
O 0.293 0.000 0.451
O 0.707 0.707 0.451
O 0.667 0.333 0.720
O 0.667 0.333 0.220
O 0.707 0.000 0.951

5.
## Na4SnO3 (PBE)

Data for crystalline Na4SnO3 at its relaxed geometry.

## Properties
Calculated volume = 277 Å³/cell
VASP energy = -4.42 eV/atom
Largest piezoelectric modulus = 0.53 C/m2
Formation energy from the elements = -1.657 eV per atom
Energy with MP2020 corrections = -74.8 eV/cell

Lattice parameters (Å, degrees): 8.929 8.929 5.947 83.52 83.52 141.56
Element x y z (fractional)
Na 0.543 0.476 0.750
Na 0.951 0.037 0.781
Na 0.684 0.401 0.306
Na 0.401 0.684 0.806
Na 0.737 0.244 0.748
Na 0.244 0.737 0.248
Na 0.037 0.951 0.281
Na 0.476 0.543 0.250
Sn 0.845 0.132 0.251
Sn 0.132 0.845 0.751
O 0.628 0.953 0.028
O 0.953 0.628 0.528
O 0.689 0.823 0.488
O 0.823 0.689 0.988
O 0.171 0.298 0.040
O 0.298 0.171 0.540

6.
## NaSn2O4 (PBE)

Data for crystalline NaSn2O4 at its relaxed geometry.

## Properties
Calculated volume = 211 Å³/cell
VASP energy = -5.71 eV/atom
Formation energy from the elements = -1.937 eV per atom
Energy with MP2020 corrections = -85.4 eV/cell

Lattice parameters (Å, degrees): 6.680 6.680 6.680 60.00 60.00 60.00
Element x y z (fractional)
Na 0.750 0.750 0.750
Na 0.500 0.500 0.500
Sn 0.125 0.625 0.125
Sn 0.625 0.125 0.125
Sn 0.125 0.125 0.125
Sn 0.125 0.125 0.625
O 0.893 0.893 0.893
O 0.357 0.357 0.930
O 0.320 0.893 0.893
O 0.893 0.320 0.893
O 0.357 0.357 0.357
O 0.893 0.893 0.320
O 0.357 0.930 0.357
O 0.930 0.357 0.357

7.
## Na2SnO6 (PBE)

Data for crystalline Na2SnO6 at its relaxed geometry.

## Properties
Calculated volume = 116 Å³/cell
Excess energy over the best structure of this formula in the dataset = 0 meV per atom
VASP energy = -5.04 eV/atom
Formation energy from the elements = -1.114 eV per atom
Energy with MP2020 corrections = -46.4 eV/cell

Lattice parameters (Å, degrees): 5.850 5.850 7.453 63.88 63.88 30.77
Element x y z (fractional)
Na 0.675 0.675 0.257
Na 0.325 0.325 0.743
Sn 0.000 0.000 0.000
O 0.636 0.636 0.945
O 0.018 0.018 0.690
O 0.143 0.143 0.537
O 0.364 0.364 0.055
O 0.982 0.982 0.310
O 0.857 0.857 0.463

8.
## Na2SnO2 (PBE)

Data for crystalline Na2SnO2 at its relaxed geometry.

## Properties
Calculated volume = 685 Å³/cell
Excess energy over the best structure of this formula in the dataset = 0 meV per atom
VASP energy = -4.76 eV/atom
Formation energy from the elements = -1.729 eV per atom
Energy with MP2020 corrections = -201.6 eV/cell

Lattice parameters (Å, degrees): 5.852 6.880 17.015 90.00 90.00 90.00
Element x y z (fractional)
Na 0.250 0.121 0.000
Na 0.250 0.627 0.000
Na 0.750 0.373 0.000
Na 0.750 0.879 0.000
Na 0.581 0.125 0.147
Na 0.081 0.875 0.147
Na 0.081 0.375 0.353
Na 0.581 0.625 0.353
Na 0.250 0.127 0.500
Na 0.750 0.379 0.500
Na 0.250 0.621 0.500
Na 0.750 0.873 0.500
Na 0.419 0.375 0.647
Na 0.919 0.625 0.647
Na 0.919 0.125 0.853
Na 0.419 0.875 0.853
Sn 0.067 0.368 0.159
Sn 0.567 0.632 0.159
Sn 0.567 0.132 0.341
Sn 0.067 0.868 0.341
Sn 0.933 0.132 0.659
Sn 0.433 0.868 0.659
Sn 0.433 0.368 0.841
Sn 0.933 0.632 0.841
O 0.441 0.847 0.089
O 0.941 0.153 0.089
O 0.386 0.403 0.099
O 0.886 0.597 0.099
O 0.886 0.097 0.401
O 0.386 0.903 0.401
O 0.441 0.347 0.411
O 0.941 0.653 0.411
O 0.059 0.347 0.589
O 0.559 0.653 0.589
O 0.614 0.097 0.599
O 0.114 0.903 0.599
O 0.114 0.403 0.901
O 0.614 0.597 0.901
O 0.559 0.153 0.911
O 0.059 0.847 0.911